(1)
Computed, not measured: a relaxed In2AgTe3Cl crystal at the PBE-GGA level of DFT.

Computed properties:
calculated total energy	-21.88	eV per formula unit
space-group type	No. 123
energy with MP2020 corrections	-3.213	eV/atom

Structure (POSCAR):
```
In2AgTe3Cl
1.0
4.303 0.000 0.000
0.000 4.303 0.000
0.000 0.000 11.400
In Ag Te Cl
2 1 3 1
Cartesian
2.152 2.152 8.323
2.152 2.152 3.077
0.000 0.000 0.000
0.000 0.000 8.584
0.000 0.000 2.817
2.152 2.152 0.000
2.152 2.152 5.700
```


(2)
Computed, not measured: a relaxed KAgCl3 crystal at the PBE-GGA level of DFT.

Computed properties:
calculated total energy	-14.61	eV per formula unit
space-group type	No. 99
energy with MP2020 corrections	-3.291	eV/atom

Structure (POSCAR):
```
KAgCl3
1.0
5.128 0.000 0.000
0.000 5.128 0.000
0.000 0.000 5.129
K Ag Cl
1 1 3
Cartesian
2.564 2.564 5.088
0.000 0.000 2.496
2.564 0.000 2.494
0.000 0.000 5.060
0.000 2.564 2.494
```


(3)
Computed, not measured: a relaxed KAgCl3 crystal at the PBE-GGA level of DFT.

Computed properties:
calculated total energy	-14.62	eV per formula unit
space-group type	No. 99
energy with MP2020 corrections	-3.293	eV/atom

Structure (POSCAR):
```
KAgCl3
1.0
5.134 0.000 0.000
0.000 5.134 0.000
0.000 0.000 5.140
K Ag Cl
1 1 3
Cartesian
2.567 2.567 5.129
0.000 0.000 2.498
2.567 0.000 2.488
0.000 0.000 5.067
0.000 2.567 2.488
```


(4)
Computed, not measured: a relaxed KAgCl3 crystal at the PBE-GGA level of DFT.

Computed properties:
calculated total energy	-14.63	eV per formula unit
space-group type	No. 161
energy with MP2020 corrections	-3.294	eV/atom

Structure (POSCAR):
```
KAgCl3
1.0
6.222 -3.632 0.000
6.222 3.632 0.000
4.102 0.000 5.923
K Ag Cl
2 2 6
Cartesian
12.170 0.000 4.356
3.896 0.000 1.395
16.482 0.000 5.900
8.209 0.000 2.938
7.089 -1.998 1.749
6.130 0.357 4.427
7.297 1.642 1.168
10.301 -0.357 1.465
9.348 1.990 4.129
9.140 -1.634 4.711
```


(5)
Computed, not measured: a relaxed K2LaAgCl6 crystal at the PBE-GGA level of DFT.

Computed properties:
calculated total energy	-38.88	eV per formula unit
space-group type	No. 225
energy with MP2020 corrections	-4.256	eV/atom

Structure (POSCAR):
```
K2LaAgCl6
1.0
0.000 5.493 5.493
5.493 0.000 5.493
5.493 5.493 0.000
K La Ag Cl
2 1 1 6
Cartesian
8.239 8.239 8.239
2.746 2.746 2.746
0.000 0.000 0.000
5.493 5.493 5.493
2.760 5.493 5.493
5.493 5.493 2.760
8.225 5.493 5.493
5.493 2.760 5.493
5.493 8.225 5.493
5.493 5.493 8.225
```


(6)
Computed, not measured: a relaxed K2LuAgCl6 crystal at the PBE-GGA level of DFT.

Computed properties:
calculated total energy	-38.46	eV per formula unit
space-group type	No. 225
energy with MP2020 corrections	-4.215	eV/atom

Structure (POSCAR):
```
K2LuAgCl6
1.0
-3.334 -0.724 6.675
-4.195 5.586 2.720
-7.447 -0.761 0.408
K Lu Ag Cl
2 1 1 6
Cartesian
-11.232 3.075 7.352
-3.744 1.025 2.451
0.000 0.000 0.000
-7.488 2.050 4.902
-5.349 0.622 5.815
-7.467 0.603 2.588
-9.627 3.479 3.988
-5.792 3.871 3.778
-9.183 0.230 6.025
-7.509 3.498 7.215
```


(7)
Computed, not measured: a relaxed K2NdAgCl6 crystal at the PBE-GGA level of DFT.

Computed properties:
calculated total energy	-38.38	eV per formula unit
space-group type	No. 225
energy with MP2020 corrections	-4.206	eV/atom

Structure (POSCAR):
```
K2NdAgCl6
1.0
0.000 5.454 5.454
5.454 0.000 5.454
5.454 5.454 0.000
K Nd Ag Cl
2 1 1 6
Cartesian
8.182 8.182 8.182
2.727 2.727 2.727
5.454 5.454 5.454
0.000 0.000 0.000
2.732 5.454 5.454
5.454 5.454 2.732
8.176 5.454 5.454
5.454 2.732 5.454
5.454 8.176 5.454
5.454 5.454 8.176
```


(8)
Computed, not measured: a relaxed K2PrAgCl6 crystal at the PBE-GGA level of DFT.

Computed properties:
calculated total energy	-38.33	eV per formula unit
space-group type	No. 225
energy with MP2020 corrections	-4.201	eV/atom

Structure (POSCAR):
```
K2PrAgCl6
1.0
0.000 5.472 5.472
5.472 0.000 5.472
5.472 5.472 0.000
K Pr Ag Cl
2 1 1 6
Cartesian
8.208 8.208 8.208
2.736 2.736 2.736
5.472 5.472 5.472
0.000 0.000 0.000
2.732 5.472 5.472
5.472 5.472 2.732
8.212 5.472 5.472
5.472 2.732 5.472
5.472 8.212 5.472
5.472 5.472 8.212
```


(9)
Computed, not measured: a relaxed K2SmAgCl6 crystal at the PBE-GGA level of DFT.

Computed properties:
calculated total energy	-38.44	eV per formula unit
space-group type	No. 225
energy with MP2020 corrections	-4.212	eV/atom

Structure (POSCAR):
```
K2SmAgCl6
1.0
6.919 -1.000 3.138
3.101 5.544 4.285
0.672 -0.936 7.576
K Sm Ag Cl
2 1 1 6
Cartesian
8.019 2.707 11.249
2.673 0.902 3.750
0.000 0.000 0.000
5.346 1.804 7.499
6.139 0.391 5.301
2.990 0.423 7.538
4.553 3.218 9.698
4.215 3.689 5.879
6.477 -0.081 9.120
7.702 3.185 7.461
```


(10)
Computed, not measured: a relaxed K2TlAgCl6 crystal at the PBE-GGA level of DFT.

Computed properties:
calculated total energy	-29.96	eV per formula unit
space-group type	No. 225
energy with MP2020 corrections	-3.365	eV/atom

Structure (POSCAR):
```
K2TlAgCl6
1.0
6.391 -2.731 2.843
4.541 4.456 3.987
0.686 -1.003 7.410
K Tl Ag Cl
2 1 1 6
Cartesian
8.714 0.541 10.680
2.905 0.180 3.560
0.000 0.000 0.000
5.809 0.361 7.120
6.101 -1.192 4.972
3.237 -0.324 7.265
5.517 1.913 9.267
5.173 2.417 5.547
6.446 -1.695 8.693
8.381 1.046 6.974
```


(11)
Computed, not measured: a relaxed K2TmAgCl6 crystal at the PBE-GGA level of DFT.

Computed properties:
calculated total energy	-38.42	eV per formula unit
space-group type	No. 225
energy with MP2020 corrections	-4.210	eV/atom

Structure (POSCAR):
```
K2TmAgCl6
1.0
0.000 5.320 5.320
5.320 0.000 5.320
5.320 5.320 0.000
K Tm Ag Cl
2 1 1 6
Cartesian
7.981 7.981 7.981
2.660 2.660 2.660
0.000 0.000 0.000
5.320 5.320 5.320
2.591 5.320 5.320
5.320 5.320 2.591
8.050 5.320 5.320
5.320 2.591 5.320
5.320 8.050 5.320
5.320 5.320 8.050
```


(12)
Computed, not measured: a relaxed Na2LuAgCl6 crystal at the PBE-GGA level of DFT.

Computed properties:
calculated total energy	-36.93	eV per formula unit
space-group type	No. 225
energy with MP2020 corrections	-4.061	eV/atom

Structure (POSCAR):
```
Na2LuAgCl6
1.0
6.776 -0.257 3.063
0.752 -1.502 7.249
2.856 -6.518 2.172
Na Lu Ag Cl
2 1 1 6
Cartesian
7.788 -6.208 9.362
2.596 -2.069 3.121
0.000 0.000 0.000
5.192 -4.138 6.242
6.005 -2.147 4.611
3.994 -5.359 4.154
4.379 -6.130 7.873
2.914 -2.786 6.758
7.470 -5.491 5.725
6.391 -2.917 8.329
```


no.,energy of formation from the pure elements (eV per atom)
1,-0.411
2,-1.393
3,-1.395
4,-1.397
5,-2.148
6,-2.148
7,-2.115
8,-2.109
9,-2.126
10,-1.514
11,-2.148
12,-1.952